A plane-wave DFT calculation with PBE+U was carried out for a geometry-optimized CsMnFeF6 structure.

Cell lengths 7.6004, 7.6316, 10.8061 Å; angles 90.00, 90.00, 90.00 degrees
Closest atoms and distances in Å follow each position.
Space group Imma (No. 74)
One atom of each set of equivalent atoms:
Cs (0.0000, 0.2500, 0.1202) [4 per cell]  5 F 3.11-3.28
Mn (0.2500, 0.2500, 0.7500) [4 per cell]  6 F 2.10-2.17
Fe (0.0000, 0.0000, 0.5000) [4 per cell]  6 F 1.94-2.00
F (0.0000, 0.2500, 0.4451) [4 per cell]  2 Fe 2.00
F (0.0000, 0.2500, 0.8324) [4 per cell]  2 Mn 2.10
F (0.1834, 0.0424, 0.6217) [16 per cell]  1 Fe 1.94, 1 Mn 2.17

Values from the calculation:
* E_tot: -5.4813 eV per atom
* formation energy: -2890 meV per atom
* total magnetic moment: 40.001 Bohr magnetons per cell